Entry 1:
BOs3 | PBE | optimized geometry

```
BOs3
1.0
2.7303 -4.7290 0.0000
2.7303 4.7290 0.0000
0.0000 0.0000 4.0284
Os B
6 2
Direct
0.1753 0.8247 0.2500 Os
0.3506 0.1753 0.7500 Os
0.8247 0.1753 0.7500 Os
0.6494 0.8247 0.2500 Os
0.8247 0.6494 0.7500 Os
0.1753 0.3506 0.2500 Os
0.6667 0.3333 0.2500 B
0.3333 0.6667 0.7500 B
```

Summary:
Its space group is P6_3/mmc, No. 194. As for the total energy: -9.313 eV/atom. The calculation puts the calculated formation energy at 777 meV/atom. The value obtained for the magnetization is 0.04 μB per atom.

---

Entry 2:
RbPdBr3 | PBE | optimized geometry

```
RbPdBr3
1.0
0.6979 -4.1833 -3.1721
-5.0545 -1.3912 0.7243
-1.4005 2.9297 -4.1749
Pd Br Rb
1 3 1
Direct
0.4994 0.4959 0.4849 Pd
0.4986 0.9960 0.4888 Br
0.5020 0.5010 0.9853 Br
0.9994 0.4960 0.4873 Br
0.0007 0.0010 0.9937 Rb
```

Summary:
Its space group is P1, No. 1. As for the total energy: -3.115 eV/atom. The calculation puts the calculated formation energy at -1221 meV/atom. The value obtained for the magnetization is 0.00 μB per atom.

---

Entry 3:
CePd7 | PBE | optimized geometry

```
CePd7
1.0
-1.2349 2.8582 4.8148
-4.8717 2.9992 0.3842
-4.2294 -1.8264 3.4136
Pd Ce
7 1
Direct
0.0000 0.0000 0.5000 Pd
0.0000 0.5000 0.0000 Pd
0.5000 0.0000 0.5000 Pd
0.5000 0.5000 0.5000 Pd
0.0000 0.5000 0.5000 Pd
0.5000 0.5000 0.0000 Pd
0.5000 0.0000 0.0000 Pd
0.0000 0.0000 0.0000 Ce
```

Summary:
Its space group is Fm-3m, No. 225. As for the total energy: -5.750 eV/atom. The calculation puts the calculated formation energy at -476 meV/atom.

---

Question: Number 3 is which compound?
Answer: CePd7

---

What did the first record say?
BOs3 | PBE | optimized geometry

```
BOs3
1.0
2.7303 -4.7290 0.0000
2.7303 4.7290 0.0000
0.0000 0.0000 4.0284
Os B
6 2
Direct
0.1753 0.8247 0.2500 Os
0.3506 0.1753 0.7500 Os
0.8247 0.1753 0.7500 Os
0.6494 0.8247 0.2500 Os
0.8247 0.6494 0.7500 Os
0.1753 0.3506 0.2500 Os
0.6667 0.3333 0.2500 B
0.3333 0.6667 0.7500 B
```

Summary:
Its space group is P6_3/mmc, No. 194. As for the total energy: -9.313 eV/atom. The calculation puts the calculated formation energy at 777 meV/atom. The value obtained for the magnetization is 0.04 μB per atom.